1.
Density functional theory data (meta-GGA r2SCAN) for a relaxed CsLuNb6Br18 crystal.

a = 9.8091 Å, b = 9.8091 Å, c = 18.2969 Å
α = 90.00°, β = 90.00°, γ = 120.00°
Fractional positions:
Cs 0.3333 0.6667 0.7500
Cs 0.6667 0.3333 0.2500
Lu 0.6667 0.3333 0.7500
Lu 0.3333 0.6667 0.2500
Nb 0.8496 0.0397 0.5657
Nb 0.1504 0.9603 0.4343
Nb 0.9603 0.8099 0.5657
Nb 0.8496 0.8099 0.9343
Nb 0.0397 0.1901 0.4343
Nb 0.1504 0.1901 0.0657
Nb 0.1901 0.1504 0.5657
Nb 0.9603 0.1504 0.9343
Nb 0.8099 0.8496 0.4343
Nb 0.0397 0.8496 0.0657
Nb 0.1901 0.0397 0.9343
Nb 0.8099 0.9603 0.0657
Br 0.6364 0.0892 0.6634
Br 0.3636 0.9108 0.3366
Br 0.9108 0.5472 0.6634
Br 0.6364 0.5472 0.8366
Br 0.0892 0.4528 0.3366
Br 0.3636 0.4528 0.1634
Br 0.4528 0.3636 0.6634
Br 0.9108 0.3636 0.8366
Br 0.5472 0.6364 0.3366
Br 0.0892 0.6364 0.1634
Br 0.4528 0.0892 0.8366
Br 0.5472 0.9108 0.1634
Br 0.0474 0.2347 0.6610
Br 0.9526 0.7653 0.3390
Br 0.7653 0.8127 0.6610
Br 0.0474 0.8127 0.8390
Br 0.2347 0.1873 0.3390
Br 0.9526 0.1873 0.1610
Br 0.1873 0.9526 0.6610
Br 0.7653 0.9526 0.8390
Br 0.8127 0.0474 0.3390
Br 0.2347 0.0474 0.1610
Br 0.1873 0.2347 0.8390
Br 0.8127 0.7653 0.1610
Br 0.2803 0.4193 0.5010
Br 0.7197 0.5807 0.4990
Br 0.5807 0.8610 0.5010
Br 0.2803 0.8610 0.9990
Br 0.4193 0.1390 0.4990
Br 0.7197 0.1390 0.0010
Br 0.1390 0.7197 0.5010
Br 0.5807 0.7197 0.9990
Br 0.8610 0.2803 0.4990
Br 0.4193 0.2803 0.0010
Br 0.1390 0.4193 0.9990
Br 0.8610 0.5807 0.0010

Summary:
Symmetry: P-31c (163)

***

2.
Density functional theory data (meta-GGA r2SCAN) for a relaxed CsLuTa6Br18 crystal.

a = 9.7803 Å, b = 9.7803 Å, c = 18.2171 Å
α = 90.00°, β = 90.00°, γ = 120.00°
Fractional positions:
Cs 0.3333 0.6667 0.7500
Cs 0.6667 0.3333 0.2500
Lu 0.6667 0.3333 0.7500
Lu 0.3333 0.6667 0.2500
Ta 0.8522 0.0390 0.5646
Ta 0.1478 0.9610 0.4354
Ta 0.9610 0.8131 0.5646
Ta 0.8522 0.8131 0.9354
Ta 0.0390 0.1869 0.4354
Ta 0.1478 0.1869 0.0646
Ta 0.1869 0.1478 0.5646
Ta 0.9610 0.1478 0.9354
Ta 0.8131 0.8522 0.4354
Ta 0.0390 0.8522 0.0646
Ta 0.1869 0.0390 0.9354
Ta 0.8131 0.9610 0.0646
Br 0.6383 0.0894 0.6628
Br 0.3617 0.9106 0.3372
Br 0.9106 0.5489 0.6628
Br 0.6383 0.5489 0.8372
Br 0.0894 0.4511 0.3372
Br 0.3617 0.4511 0.1628
Br 0.4511 0.3617 0.6628
Br 0.9106 0.3617 0.8372
Br 0.5489 0.6383 0.3372
Br 0.0894 0.6383 0.1628
Br 0.4511 0.0894 0.8372
Br 0.5489 0.9106 0.1628
Br 0.0475 0.2342 0.6609
Br 0.9525 0.7658 0.3391
Br 0.7658 0.8133 0.6609
Br 0.0475 0.8133 0.8391
Br 0.2342 0.1867 0.3391
Br 0.9525 0.1867 0.1609
Br 0.1867 0.9525 0.6609
Br 0.7658 0.9525 0.8391
Br 0.8133 0.0475 0.3391
Br 0.2342 0.0475 0.1609
Br 0.1867 0.2342 0.8391
Br 0.8133 0.7658 0.1609
Br 0.2800 0.4185 0.5010
Br 0.7200 0.5815 0.4990
Br 0.5815 0.8615 0.5010
Br 0.2800 0.8615 0.9990
Br 0.4185 0.1385 0.4990
Br 0.7200 0.1385 0.0010
Br 0.1385 0.7200 0.5010
Br 0.5815 0.7200 0.9990
Br 0.8615 0.2800 0.4990
Br 0.4185 0.2800 0.0010
Br 0.1385 0.4185 0.9990
Br 0.8615 0.5815 0.0010

Summary:
Symmetry: P-31c (163)

***

| no. | ΔE_f (eV/atom) | uncorrected energy (eV per atom) |
| --- | --- | --- |
| 1 | -1.327 | -18.645 |
| 2 | -1.301 | -24.124 |